(1)
Entry from the Materials Project database: a relaxed structure of Tm2CdS4 (r²SCAN).

Unit cell a=7.860 b=7.860 c=7.860 alpha=60.00 beta=60.00 gamma=60.00
Sites, in units of the cell vectors:
Tm 0.000 0.000 0.000
Tm 0.000 0.000 0.500
Tm 0.000 0.500 0.000
Tm 0.500 0.000 0.000
Cd 0.375 0.375 0.375
Cd 0.625 0.625 0.625
S 0.226 0.758 0.758
S 0.242 0.242 0.242
S 0.242 0.242 0.774
S 0.242 0.774 0.242
S 0.758 0.226 0.758
S 0.758 0.758 0.226
S 0.758 0.758 0.758
S 0.774 0.242 0.242

Symmetry: Fd-3m
Final energy, eV/cell: -272.16

***

(2)
Entry from the Materials Project database: a relaxed structure of Mn7F16 (r²SCAN).

Unit cell a=6.421 b=6.423 c=9.406 alpha=109.93 beta=90.01 gamma=119.98
Sites, in units of the cell vectors:
Mn 0.000 0.000 0.000
Mn 0.110 0.859 0.338
Mn 0.253 0.772 0.662
Mn 0.479 0.590 0.338
Mn 0.521 0.410 0.662
Mn 0.747 0.228 0.338
Mn 0.890 0.141 0.662
F 0.016 0.838 0.121
F 0.146 0.990 0.588
F 0.155 0.558 0.412
F 0.178 0.895 0.879
F 0.237 0.474 0.712
F 0.283 0.299 0.121
F 0.402 0.257 0.412
F 0.425 0.850 0.275
F 0.575 0.150 0.725
F 0.598 0.743 0.588
F 0.717 0.701 0.879
F 0.763 0.526 0.288
F 0.822 0.105 0.121
F 0.845 0.442 0.588
F 0.854 0.010 0.412
F 0.984 0.162 0.879

Symmetry: P-1
Final energy, eV/cell: -218.52

***

(3)
Entry from the Materials Project database: a relaxed structure of Tb2MgCu2 (r²SCAN).

Unit cell a=7.615 b=7.615 c=3.695 alpha=90.00 beta=90.00 gamma=90.00
Sites, in units of the cell vectors:
Tb 0.170 0.330 0.000
Tb 0.330 0.830 0.000
Tb 0.670 0.170 0.000
Tb 0.830 0.670 0.000
Mg 0.000 0.000 0.500
Mg 0.500 0.500 0.500
Cu 0.123 0.623 0.500
Cu 0.377 0.123 0.500
Cu 0.623 0.877 0.500
Cu 0.877 0.377 0.500

Symmetry: P4/mbm
Final energy, eV/cell: -179.08

***

(4)
Entry from the Materials Project database: a relaxed structure of CoH9C4N3O6 (r²SCAN).

Unit cell a=8.241 b=11.580 c=8.923 alpha=90.00 beta=90.00 gamma=90.00
Sites, in units of the cell vectors:
Co 0.240 0.250 0.250
Co 0.260 0.750 0.250
Co 0.740 0.250 0.750
Co 0.760 0.750 0.750
H 0.077 0.124 0.743
H 0.077 0.376 0.757
H 0.108 0.718 0.924
H 0.108 0.782 0.576
H 0.170 0.083 0.571
H 0.170 0.417 0.929
H 0.189 0.063 0.965
H 0.189 0.437 0.535
H 0.250 0.000 0.180
H 0.250 0.500 0.320
H 0.311 0.563 0.535
H 0.311 0.937 0.965
H 0.330 0.583 0.929
H 0.330 0.917 0.571
H 0.392 0.218 0.576
H 0.392 0.282 0.924
H 0.423 0.624 0.757
H 0.423 0.876 0.743
H 0.577 0.124 0.257
H 0.577 0.376 0.243
H 0.608 0.718 0.076
H 0.608 0.782 0.424
H 0.670 0.083 0.429
H 0.670 0.417 0.071
H 0.689 0.063 0.035
H 0.689 0.437 0.465
H 0.750 0.000 0.820
H 0.750 0.500 0.680
H 0.811 0.563 0.465
H 0.811 0.937 0.035
H 0.830 0.583 0.071
H 0.830 0.917 0.429
H 0.892 0.218 0.424
H 0.892 0.282 0.076
H 0.923 0.624 0.243
H 0.923 0.876 0.257
C 0.031 0.719 0.517
C 0.031 0.781 0.983
C 0.250 0.000 0.303
C 0.250 0.000 0.759
C 0.250 0.500 0.197
C 0.250 0.500 0.741
C 0.469 0.219 0.983
C 0.469 0.281 0.517
C 0.531 0.719 0.483
C 0.531 0.781 0.017
C 0.750 0.000 0.241
C 0.750 0.000 0.697
C 0.750 0.500 0.259
C 0.750 0.500 0.803
C 0.969 0.219 0.017
C 0.969 0.281 0.483
N 0.157 0.075 0.684
N 0.157 0.425 0.816
N 0.250 0.000 0.908
N 0.250 0.500 0.592
N 0.343 0.575 0.816
N 0.343 0.925 0.684
N 0.657 0.075 0.316
N 0.657 0.425 0.184
N 0.750 0.000 0.092
N 0.750 0.500 0.408
N 0.843 0.575 0.184
N 0.843 0.925 0.316
O 0.070 0.690 0.385
O 0.070 0.810 0.115
O 0.092 0.179 0.084
O 0.092 0.321 0.416
O 0.235 0.096 0.369
O 0.235 0.404 0.131
O 0.265 0.596 0.131
O 0.265 0.904 0.369
O 0.408 0.679 0.416
O 0.408 0.821 0.084
O 0.430 0.190 0.115
O 0.430 0.310 0.385
O 0.570 0.690 0.615
O 0.570 0.810 0.885
O 0.592 0.179 0.916
O 0.592 0.321 0.584
O 0.735 0.096 0.631
O 0.735 0.404 0.869
O 0.765 0.596 0.869
O 0.765 0.904 0.631
O 0.908 0.679 0.584
O 0.908 0.821 0.916
O 0.930 0.190 0.885
O 0.930 0.310 0.615

Symmetry: Pnna
Final energy, eV/cell: -655.71

***

(5)
Entry from the Materials Project database: a relaxed structure of EuAl2Zn2 (r²SCAN).

Unit cell a=6.291 b=6.291 c=6.291 alpha=141.06 beta=141.06 gamma=56.25
Sites, in units of the cell vectors:
Eu 0.000 0.000 0.000
Al 0.250 0.750 0.500
Al 0.750 0.250 0.500
Zn 0.388 0.388 0.000
Zn 0.612 0.612 0.000

Symmetry: I4/mmm
Final energy, eV/cell: -71.75

***

(6)
Entry from the Materials Project database: a relaxed structure of UGeIr (r²SCAN).

Unit cell a=6.891 b=4.376 c=7.572 alpha=90.00 beta=90.00 gamma=90.00
Sites, in units of the cell vectors:
U 0.012 0.250 0.208
U 0.488 0.750 0.708
U 0.512 0.250 0.292
U 0.988 0.750 0.792
Ge 0.182 0.250 0.584
Ge 0.318 0.750 0.084
Ge 0.682 0.250 0.916
Ge 0.818 0.750 0.416
Ir 0.223 0.750 0.413
Ir 0.277 0.250 0.913
Ir 0.723 0.750 0.087
Ir 0.777 0.250 0.587

Symmetry: Pnma
Final energy, eV/cell: -594.06

***

(7)
Entry from the Materials Project database: a relaxed structure of SiC (r²SCAN).

Unit cell a=12.709 b=12.709 c=12.709 alpha=13.90 beta=13.90 gamma=13.90
Sites, in units of the cell vectors:
Si 0.000 0.000 0.000
Si 0.133 0.133 0.133
Si 0.267 0.267 0.267
Si 0.533 0.533 0.533
Si 0.733 0.733 0.733
C 0.050 0.050 0.050
C 0.183 0.183 0.183
C 0.317 0.317 0.317
C 0.584 0.584 0.584
C 0.784 0.784 0.784

Symmetry: R3m
ΔE to the lowest computed polymorph, eV/atom: 0.000
Final energy, eV/cell: -96.66

***

(8)
Entry from the Materials Project database: a relaxed structure of Sm11Fe12C18 (r²SCAN).

Unit cell a=8.913 b=8.913 c=8.913 alpha=109.47 beta=109.47 gamma=109.47
Sites, in units of the cell vectors:
Sm 0.000 0.000 0.000
Sm 0.000 0.000 0.592
Sm 0.000 0.592 0.000
Sm 0.250 0.500 0.750
Sm 0.250 0.750 0.500
Sm 0.408 0.408 0.408
Sm 0.500 0.250 0.750
Sm 0.500 0.750 0.250
Sm 0.592 0.000 0.000
Sm 0.750 0.250 0.500
Sm 0.750 0.500 0.250
Fe 0.000 0.197 0.354
Fe 0.000 0.354 0.197
Fe 0.157 0.803 0.803
Fe 0.197 0.000 0.354
Fe 0.197 0.354 0.000
Fe 0.354 0.000 0.197
Fe 0.354 0.197 0.000
Fe 0.646 0.646 0.843
Fe 0.646 0.843 0.646
Fe 0.803 0.157 0.803
Fe 0.803 0.803 0.157
Fe 0.843 0.646 0.646
C 0.000 0.291 0.793
C 0.000 0.432 0.432
C 0.000 0.568 0.568
C 0.000 0.793 0.291
C 0.207 0.207 0.498
C 0.207 0.498 0.207
C 0.291 0.000 0.793
C 0.291 0.793 0.000
C 0.432 0.000 0.432
C 0.432 0.432 0.000
C 0.498 0.207 0.207
C 0.502 0.709 0.709
C 0.568 0.000 0.568
C 0.568 0.568 0.000
C 0.709 0.502 0.709
C 0.709 0.709 0.502
C 0.793 0.000 0.291
C 0.793 0.291 0.000

Symmetry: I-43m
Final energy, eV/cell: -688.17

***

(9)
Entry from the Materials Project database: a relaxed structure of Sm2MgSi2 (r²SCAN).

Unit cell a=7.302 b=7.302 c=4.313 alpha=90.00 beta=90.00 gamma=90.00
Sites, in units of the cell vectors:
Sm 0.179 0.321 0.000
Sm 0.321 0.821 0.000
Sm 0.679 0.179 0.000
Sm 0.821 0.679 0.000
Mg 0.000 0.000 0.500
Mg 0.500 0.500 0.500
Si 0.116 0.616 0.500
Si 0.384 0.116 0.500
Si 0.616 0.884 0.500
Si 0.884 0.384 0.500

Symmetry: P4/mbm
Final energy, eV/cell: -170.01

***

(10)
Entry from the Materials Project database: a relaxed structure of Ba5Ga6H2 (r²SCAN).

Unit cell a=7.805 b=7.805 c=14.520 alpha=90.00 beta=90.00 gamma=120.00
Sites, in units of the cell vectors:
Ba 0.000 0.352 0.250
Ba 0.000 0.648 0.750
Ba 0.333 0.667 0.017
Ba 0.333 0.667 0.517
Ba 0.352 0.000 0.250
Ba 0.352 0.352 0.750
Ba 0.648 0.000 0.750
Ba 0.648 0.648 0.250
Ba 0.667 0.333 0.483
Ba 0.667 0.333 0.983
Ga 0.017 0.206 0.924
Ga 0.017 0.811 0.424
Ga 0.189 0.206 0.424
Ga 0.189 0.983 0.924
Ga 0.206 0.017 0.576
Ga 0.206 0.189 0.076
Ga 0.794 0.811 0.924
Ga 0.794 0.983 0.424
Ga 0.811 0.017 0.076
Ga 0.811 0.794 0.576
Ga 0.983 0.189 0.576
Ga 0.983 0.794 0.076
H 0.333 0.667 0.203
H 0.333 0.667 0.703
H 0.667 0.333 0.297
H 0.667 0.333 0.797

Symmetry: P-3c1
Final energy, eV/cell: -430.44

***

(11)
Entry from the Materials Project database: a relaxed structure of NiAuO2 (r²SCAN).

Unit cell a=2.954 b=2.954 c=12.068 alpha=90.00 beta=90.00 gamma=120.00
Sites, in units of the cell vectors:
Ni 0.000 0.000 0.000
Ni 0.000 0.000 0.500
Au 0.333 0.667 0.250
Au 0.667 0.333 0.750
O 0.333 0.667 0.082
O 0.333 0.667 0.418
O 0.667 0.333 0.582
O 0.667 0.333 0.918

Symmetry: P6_3/mmc
Final energy, eV/cell: -155.42

***

(12)
Entry from the Materials Project database: a relaxed structure of Rb3V5O14 (r²SCAN).

Unit cell a=8.678 b=8.678 c=5.338 alpha=90.00 beta=90.00 gamma=120.00
Sites, in units of the cell vectors:
Rb 0.000 0.614 0.000
Rb 0.386 0.386 0.000
Rb 0.614 0.000 0.000
V 0.000 0.230 0.496
V 0.230 0.000 0.496
V 0.333 0.667 0.480
V 0.667 0.333 0.480
V 0.770 0.770 0.496
O 0.000 0.255 0.797
O 0.000 0.832 0.437
O 0.168 0.168 0.437
O 0.168 0.461 0.368
O 0.255 0.000 0.797
O 0.292 0.832 0.368
O 0.333 0.667 0.787
O 0.461 0.168 0.368
O 0.539 0.708 0.368
O 0.667 0.333 0.787
O 0.708 0.539 0.368
O 0.745 0.745 0.797
O 0.832 0.000 0.437
O 0.832 0.292 0.368

Symmetry: P31m
Final energy, eV/cell: -251.19

***

Number 1: ΔH_f (0 K) -1.942 eV/atom. Number 2: ΔH_f (0 K) -2.857 eV/atom. Number 3: ΔH_f (0 K) -0.245 eV/atom. Number 4: ΔH_f (0 K) -0.721 eV/atom. Number 5: ΔH_f (0 K) -0.388 eV/atom. Number 6: ΔH_f (0 K) -0.780 eV/atom. Number 7: ΔH_f (0 K) -0.306 eV/atom. Number 8: ΔH_f (0 K) -0.222 eV/atom. Number 9: ΔH_f (0 K) -0.764 eV/atom. Number 10: ΔH_f (0 K) -0.550 eV/atom. Number 11: ΔH_f (0 K) -0.799 eV/atom. Number 12: ΔH_f (0 K) -2.515 eV/atom.